Li3CrSi6O15 (PBE+U, optimized geometry); formation energy = -3.000 eV per atom; polymorph energy (0 for the lowest one) = 0.2 meV/atom; V = 12.29 A^3/atom; crystal system = orthorhombic
1.0
7.059 -8.560 0.000
7.059 8.560 0.000
0.000 0.000 10.168
O Si Li Cr
60 24 12 4
direct
0.253 0.095 0.584 O
0.659 0.108 0.485 O
0.662 0.338 0.582 O
0.172 0.152 0.832 O
0.896 0.104 0.494 O
0.352 0.995 0.825 O
0.973 0.735 0.333 O
0.905 0.747 0.584 O
0.011 0.278 0.920 O
0.838 0.162 0.082 O
0.489 0.222 0.420 O
0.841 0.392 0.985 O
0.095 0.253 0.416 O
0.672 0.652 0.668 O
0.747 0.905 0.416 O
0.338 0.662 0.418 O
0.396 0.604 0.006 O
0.104 0.896 0.506 O
0.848 0.828 0.832 O
0.852 0.495 0.675 O
0.341 0.892 0.515 O
0.527 0.765 0.833 O
0.604 0.396 0.994 O
0.495 0.852 0.325 O
0.162 0.838 0.918 O
0.595 0.753 0.084 O
0.443 0.557 0.704 O
0.108 0.659 0.515 O
0.148 0.505 0.325 O
0.735 0.973 0.667 O
0.057 0.943 0.204 O
0.027 0.265 0.667 O
0.652 0.672 0.332 O
0.778 0.511 0.420 O
0.557 0.443 0.296 O
0.753 0.595 0.916 O
0.005 0.648 0.825 O
0.265 0.027 0.333 O
0.828 0.848 0.168 O
0.328 0.348 0.332 O
0.765 0.527 0.167 O
0.989 0.722 0.080 O
0.405 0.247 0.916 O
0.152 0.172 0.168 O
0.348 0.328 0.668 O
0.511 0.778 0.580 O
0.392 0.841 0.015 O
0.247 0.405 0.084 O
0.995 0.352 0.175 O
0.235 0.473 0.833 O
0.892 0.341 0.485 O
0.722 0.989 0.920 O
0.648 0.005 0.175 O
0.505 0.148 0.675 O
0.278 0.011 0.080 O
0.159 0.608 0.015 O
0.943 0.057 0.796 O
0.222 0.489 0.580 O
0.473 0.235 0.167 O
0.608 0.159 0.985 O
0.542 0.688 0.697 Si
0.481 0.742 0.987 Si
0.958 0.812 0.197 Si
0.312 0.458 0.697 Si
0.812 0.958 0.803 Si
0.798 0.424 0.544 Si
0.042 0.188 0.803 Si
0.758 0.019 0.513 Si
0.188 0.042 0.197 Si
0.924 0.298 0.044 Si
0.424 0.798 0.456 Si
0.019 0.758 0.487 Si
0.702 0.076 0.044 Si
0.576 0.202 0.544 Si
0.242 0.981 0.487 Si
0.258 0.519 0.987 Si
0.202 0.576 0.456 Si
0.519 0.258 0.013 Si
0.688 0.542 0.303 Si
0.076 0.702 0.956 Si
0.742 0.481 0.013 Si
0.458 0.312 0.303 Si
0.981 0.242 0.513 Si
0.298 0.924 0.956 Si
0.488 0.012 0.250 Li
0.759 0.759 0.000 Li
0.012 0.488 0.750 Li
0.429 0.571 0.262 Li
0.741 0.741 0.500 Li
0.929 0.071 0.238 Li
0.241 0.241 0.000 Li
0.259 0.259 0.500 Li
0.071 0.929 0.762 Li
0.988 0.512 0.250 Li
0.512 0.988 0.750 Li
0.571 0.429 0.738 Li
0.839 0.661 0.750 Cr
0.339 0.161 0.750 Cr
0.161 0.339 0.250 Cr
0.661 0.839 0.250 Cr